Computed, not measured: LiAlSiH2O5 after structural relaxation at the PBE level of DFT.

```
data_LiAlSiH2O5
_space_group_name_H-M_alt 'P 1'
_space_group_IT_number 1
_cell_length_a 4.797
_cell_length_b 9.028
_cell_length_c 11.744
_cell_angle_alpha 90.00
_cell_angle_beta 90.00
_cell_angle_gamma 90.00
loop_
_space_group_symop_operation_xyz
'x,y,z'
loop_
_atom_site_label
_atom_site_type_symbol
_atom_site_fract_x
_atom_site_fract_y
_atom_site_fract_z
Li1 Li 0.380 0.587 0.810
Li2 Li 0.380 0.913 0.310
Li3 Li 0.880 0.087 0.690
Li4 Li 0.880 0.413 0.190
Al1 Al 0.356 0.044 0.859
Al2 Al 0.856 0.956 0.141
Al3 Al 0.356 0.456 0.359
Al4 Al 0.856 0.544 0.641
Si1 Si 0.768 0.881 0.886
Si2 Si 0.268 0.381 0.614
Si3 Si 0.268 0.119 0.114
Si4 Si 0.768 0.619 0.386
H1 H 0.885 0.854 0.552
H2 H 0.209 0.489 0.990
H3 H 0.709 0.989 0.510
H4 H 0.385 0.146 0.448
H5 H 0.709 0.511 0.010
H6 H 0.385 0.354 0.948
H7 H 0.885 0.646 0.052
H8 H 0.209 0.011 0.490
O1 O 0.973 0.634 0.769
O2 O 0.523 0.474 0.674
O3 O 0.884 0.964 0.552
O4 O 0.473 0.366 0.231
O5 O 0.712 0.774 0.308
O6 O 0.473 0.134 0.731
O7 O 0.212 0.274 0.192
O8 O 0.350 0.161 0.981
O9 O 0.384 0.036 0.448
O10 O 0.350 0.339 0.481
O11 O 0.850 0.661 0.519
O12 O 0.850 0.839 0.019
O13 O 0.884 0.536 0.052
O14 O 0.973 0.866 0.269
O15 O 0.712 0.726 0.808
O16 O 0.212 0.226 0.692
O17 O 0.023 0.974 0.826
O18 O 0.023 0.526 0.326
O19 O 0.523 0.026 0.174
O20 O 0.384 0.464 0.948
```

Its space-group type is No. 33. The calculation puts the formation energy at -1996 meV/atom. The value obtained for the total moment is 0.0 μB/f.u.